Compound: CsI
Source: the Materials Project database
Functional: r2SCAN
Structure: optimized geometry

a b c (Å): 5.5254 7.8331 5.4914
angles (deg): 90.00 90.00 90.00
With the nearest neighbours (Å) after each atom.
Positions (direct):
1 Cs 0.2500 0.2500 0.2418  6 I 3.88-3.92
2 Cs 0.7500 0.7500 0.7582  6 I 3.88-3.92
3 I 0.2500 0.7500 0.2623  6 Cs 3.88-3.92
4 I 0.7500 0.2500 0.7377  6 Cs 3.88-3.92

ΔH_f (0 K): -1.7579 eV per atom
density: 3.6 Mg/m³
E_tot: -1.954 Ry/atom
symmetry: Pmmn (59)
V: 59.42 Å³/atom

=====

Compound: Sr2Fe2O5
Source: the Materials Project database
Functional: r2SCAN
Structure: optimized geometry

a b c (Å): 9.0115 8.9903 5.4783
angles (deg): 72.49 72.07 35.43
With the nearest neighbours (Å) after each atom.
Positions (direct):
1 Sr 0.0977 0.6201 0.3799  7 O 2.40-2.64
2 Sr 0.3799 0.9023 0.0977  7 O 2.40-2.64
3 Sr 0.6201 0.0977 0.9023  7 O 2.40-2.64
4 Sr 0.9023 0.3799 0.6201  7 O 2.40-2.64
5 Fe 0.0000 0.5000 0.0000  4 O 1.93-1.95
6 Fe 0.3157 0.6843 0.6843  4 O 1.87-1.95
7 Fe 0.5000 0.0000 0.5000  4 O 1.93-1.95
8 Fe 0.6843 0.3157 0.3157  4 O 1.87-1.95
9 O 0.1242 0.6592 0.8758  1 Fe 1.87
10 O 0.2500 0.2500 0.2500  2 Fe 1.95
11 O 0.2552 0.2552 0.7448  2 Fe 1.93
12 O 0.3288 0.6712 0.3288  2 Fe 1.95
13 O 0.3408 0.8758 0.6592  1 Fe 1.87
14 O 0.6592 0.1242 0.3408  1 Fe 1.87
15 O 0.6712 0.3288 0.6712  2 Fe 1.95
16 O 0.7448 0.7448 0.2552  2 Fe 1.93
17 O 0.7500 0.7500 0.7500  2 Fe 1.95
18 O 0.8758 0.3408 0.1242  1 Fe 1.87

ΔH_f (0 K): -2.3154 eV per atom
density: 5.0 Mg/m³
E_tot: -0.897 Ry/atom
symmetry: Fmmm (69)
V: 13.55 Å³/atom
energy above the lowest structure with this stoichiometry: 11 meV per atom

=====

Compound: Nb5Si3
Source: the Materials Project database
Functional: r2SCAN
Structure: optimized geometry

a b c (Å): 7.5637 7.5637 7.5637
angles (deg): 96.50 96.50 140.67
With the nearest neighbours (Å) after each atom.
Positions (direct):
1 Nb 0.0761 0.7809 0.8570  6 Si 2.66-2.94, 3 Nb 2.92-2.97
2 Nb 0.2191 0.0761 0.2952  6 Si 2.66-2.94, 3 Nb 2.92-2.97
3 Nb 0.2500 0.7500 0.5000  2 Nb 2.55, 4 Si 2.67
4 Nb 0.2809 0.5761 0.8570  6 Si 2.66-2.94, 3 Nb 2.92-2.97
5 Nb 0.4239 0.2809 0.7048  6 Si 2.66-2.94, 3 Nb 2.92-2.97
6 Nb 0.5761 0.7191 0.2952  6 Si 2.66-2.94, 3 Nb 2.92-2.97
7 Nb 0.7191 0.4239 0.1430  6 Si 2.66-2.94, 3 Nb 2.92-2.97
8 Nb 0.7500 0.2500 0.5000  2 Nb 2.55, 4 Si 2.67
9 Nb 0.7809 0.9239 0.7048  6 Si 2.66-2.94, 3 Nb 2.92-2.97
10 Nb 0.9239 0.2191 0.1430  6 Si 2.66-2.94, 3 Nb 2.92-2.97
11 Si 0.1646 0.3354 0.5000  10 Nb 2.67-2.94
12 Si 0.2500 0.2500 0.0000  2 Si 2.55, 8 Nb 2.66
13 Si 0.3354 0.8354 0.1709  10 Nb 2.67-2.94
14 Si 0.6646 0.1646 0.8291  10 Nb 2.67-2.94
15 Si 0.7500 0.7500 0.0000  2 Si 2.55, 8 Nb 2.66
16 Si 0.8354 0.6646 0.5000  10 Nb 2.67-2.94

ΔH_f (0 K): -0.6709 eV per atom
density: 7.1 Mg/m³
E_tot: -1.427 Ry/atom
symmetry: I4/mcm (140)
V: 16.14 Å³/atom
energy above the lowest structure with this stoichiometry: 52 meV per atom

=====

What did the third record say?
Compound: Nb5Si3
Source: the Materials Project database
Functional: r2SCAN
Structure: optimized geometry

a b c (Å): 7.5637 7.5637 7.5637
angles (deg): 96.50 96.50 140.67
With the nearest neighbours (Å) after each atom.
Positions (direct):
1 Nb 0.0761 0.7809 0.8570  6 Si 2.66-2.94, 3 Nb 2.92-2.97
2 Nb 0.2191 0.0761 0.2952  6 Si 2.66-2.94, 3 Nb 2.92-2.97
3 Nb 0.2500 0.7500 0.5000  2 Nb 2.55, 4 Si 2.67
4 Nb 0.2809 0.5761 0.8570  6 Si 2.66-2.94, 3 Nb 2.92-2.97
5 Nb 0.4239 0.2809 0.7048  6 Si 2.66-2.94, 3 Nb 2.92-2.97
6 Nb 0.5761 0.7191 0.2952  6 Si 2.66-2.94, 3 Nb 2.92-2.97
7 Nb 0.7191 0.4239 0.1430  6 Si 2.66-2.94, 3 Nb 2.92-2.97
8 Nb 0.7500 0.2500 0.5000  2 Nb 2.55, 4 Si 2.67
9 Nb 0.7809 0.9239 0.7048  6 Si 2.66-2.94, 3 Nb 2.92-2.97
10 Nb 0.9239 0.2191 0.1430  6 Si 2.66-2.94, 3 Nb 2.92-2.97
11 Si 0.1646 0.3354 0.5000  10 Nb 2.67-2.94
12 Si 0.2500 0.2500 0.0000  2 Si 2.55, 8 Nb 2.66
13 Si 0.3354 0.8354 0.1709  10 Nb 2.67-2.94
14 Si 0.6646 0.1646 0.8291  10 Nb 2.67-2.94
15 Si 0.7500 0.7500 0.0000  2 Si 2.55, 8 Nb 2.66
16 Si 0.8354 0.6646 0.5000  10 Nb 2.67-2.94

ΔH_f (0 K): -0.6709 eV per atom
density: 7.1 Mg/m³
E_tot: -1.427 Ry/atom
symmetry: I4/mcm (140)
V: 16.14 Å³/atom
energy above the lowest structure with this stoichiometry: 52 meV per atom